## Ca2MnAl2Si4BO15 (PBE+U)

Data for a relaxed Ca2MnAl2Si4BO15 crystal.

The total energy is -188.48 eV/f.u. As for the space group: P-1. As for the formation energy: -77.2 eV per formula unit.

Cell: 7.324 8.866 9.327 Å, 88.01 76.44 81.48°
Atoms (fractional coordinates):
Ca 0.166 0.395 0.090
Ca 0.246 0.892 0.670
Ca 0.754 0.108 0.330
Ca 0.834 0.605 0.910
Mn 0.233 0.618 0.402
Mn 0.767 0.382 0.598
Al 0.050 0.241 0.820
Al 0.343 0.083 0.939
Al 0.657 0.917 0.061
Al 0.950 0.759 0.180
Si 0.216 0.277 0.453
Si 0.222 0.982 0.274
Si 0.303 0.513 0.741
Si 0.359 0.729 0.980
Si 0.641 0.271 0.020
Si 0.697 0.487 0.259
Si 0.778 0.018 0.726
Si 0.784 0.723 0.547
B 0.464 0.210 0.632
B 0.536 0.790 0.368
O 0.025 0.928 0.262
O 0.053 0.329 0.601
O 0.103 0.184 0.995
O 0.125 0.441 0.844
O 0.147 0.154 0.354
O 0.205 0.666 0.122
O 0.230 0.636 0.625
O 0.291 0.887 0.900
O 0.327 0.143 0.739
O 0.328 0.864 0.387
O 0.382 0.002 0.126
O 0.408 0.596 0.848
O 0.422 0.196 0.481
O 0.441 0.264 0.976
O 0.471 0.376 0.657
O 0.529 0.624 0.343
O 0.559 0.736 0.024
O 0.578 0.804 0.519
O 0.592 0.404 0.152
O 0.618 0.998 0.874
O 0.672 0.136 0.613
O 0.673 0.857 0.261
O 0.709 0.113 0.100
O 0.770 0.364 0.375
O 0.795 0.334 0.878
O 0.853 0.846 0.646
O 0.875 0.559 0.156
O 0.897 0.816 0.005
O 0.947 0.671 0.399
O 0.975 0.072 0.738